No. 1
Computed, not measured: an optimized crystal structure of Na4Ta2Si5Ge2SO24 at the GGA-PBE level of DFT.

Density = 3.9 g cm⁻³
Uncorrected energy = -7.268 eV per atom
Symmetry = P1 (1)
Energy of formation from the pure elements = -10072 kJ/mol of formula units

a = 8.797 Å, b = 8.817 Å, c = 22.223 Å
α = 89.92°, β = 89.44°, γ = 60.08°
Element x y z (fractional)
Na1 0.000 0.000 0.000
Na2 0.002 0.638 0.505
Na3 0.042 0.302 0.921
Na4 0.046 0.300 0.420
Na5 0.063 0.605 0.834
Na6 0.066 0.966 0.334
Na7 0.375 0.620 0.248
Na8 0.379 0.629 0.752
Na9 0.401 0.936 0.170
Na10 0.696 0.969 0.592
Na11 0.705 0.959 0.083
Na12 0.734 0.270 0.505
Ta1 0.020 0.307 0.272
Ta2 0.027 0.306 0.776
Ta3 0.359 0.641 0.895
Ta4 0.366 0.628 0.609
Ta5 0.371 0.633 0.396
Ta6 0.696 0.968 0.440
Si1 0.018 0.598 0.668
Si2 0.022 0.016 0.164
Si3 0.074 0.632 0.005
Si4 0.083 0.933 0.503
Si5 0.358 0.344 0.503
Si6 0.370 0.936 0.003
Si7 0.418 0.970 0.330
Si8 0.430 0.239 0.835
Si9 0.655 0.636 0.504
Si10 0.690 0.251 0.330
Si11 0.692 0.696 0.832
Si12 0.738 0.594 0.163
Si13 0.748 0.291 0.668
Si14 0.973 0.976 0.838
Si15 0.988 0.678 0.334
Ge1 0.019 0.311 0.565
Ge2 0.030 0.309 0.065
Ge3 0.355 0.666 0.103
Ge4 0.699 0.951 0.936
Ge5 0.717 0.967 0.734
Ge6 0.721 0.951 0.232
S1 0.320 0.019 0.666
S2 0.322 0.307 0.166
S3 0.651 0.352 0.004
O1 0.006 0.140 0.830
O2 0.010 0.485 0.327
O3 0.056 0.128 0.509
O4 0.059 0.455 0.011
O5 0.060 0.473 0.727
O6 0.067 0.100 0.224
O7 0.170 0.797 0.558
O8 0.171 0.798 0.844
O9 0.174 0.673 0.060
O10 0.178 0.665 0.340
O11 0.182 0.123 0.010
O12 0.183 0.331 0.511
O13 0.194 0.602 0.944
O14 0.195 0.618 0.662
O15 0.196 0.843 0.441
O16 0.206 0.822 0.161
O17 0.211 0.332 0.221
O18 0.213 0.099 0.722
O19 0.219 0.138 0.325
O20 0.227 0.275 0.828
O21 0.235 0.125 0.612
O22 0.241 0.271 0.112
O23 0.324 0.473 0.445
O24 0.331 0.843 0.663
O25 0.333 0.833 0.948
O26 0.337 0.465 0.160
O27 0.392 0.800 0.339
O28 0.395 0.442 0.843
O29 0.402 0.434 0.560
O30 0.406 0.817 0.064
O31 0.494 0.146 0.171
O32 0.494 0.998 0.670
O33 0.506 0.999 0.390
O34 0.510 0.123 0.895
O35 0.525 0.446 0.339
O36 0.527 0.664 0.842
O37 0.530 0.669 0.562
O38 0.536 0.937 0.269
O39 0.538 0.158 0.496
O40 0.541 0.438 0.059
O41 0.541 0.611 0.158
O42 0.545 0.160 0.773
O43 0.545 0.952 0.995
O44 0.555 0.474 0.664
O45 0.566 0.599 0.445
O46 0.570 0.457 0.949
O47 0.661 0.813 0.773
O48 0.666 0.156 0.273
O49 0.673 0.175 0.001
O50 0.682 0.804 0.498
O51 0.712 0.792 0.173
O52 0.725 0.120 0.675
O53 0.735 0.136 0.393
O54 0.751 0.759 0.892
O55 0.830 0.334 0.006
O56 0.833 0.471 0.223
O57 0.844 0.790 0.675
O58 0.847 0.997 0.173
O59 0.848 0.320 0.725
O60 0.848 0.461 0.507
O61 0.861 0.267 0.605
O62 0.862 0.005 0.900
O63 0.868 0.498 0.827
O64 0.869 0.268 0.326
O65 0.871 0.499 0.107
O66 0.873 0.763 0.395
O67 0.885 0.816 0.997
O68 0.887 0.950 0.496
O69 0.907 0.920 0.778
O70 0.908 0.806 0.276
O71 0.998 0.503 0.607
O72 0.999 0.138 0.106



No. 2
Computed, not measured: an optimized crystal structure of Na10Ta4Si11Ge4SO48 at the GGA-PBE level of DFT.

Density = 3.9 g cm⁻³
Uncorrected energy = -7.254 eV per atom
Symmetry = P1 (1)
Energy of formation from the pure elements = -21061 kJ/mol of formula units

a = 8.835 Å, b = 15.316 Å, c = 22.159 Å
α = 90.38°, β = 90.24°, γ = 90.03°
Element x y z (fractional)
Na1 0.000 0.000 0.000
Na2 0.000 0.338 0.336
Na3 0.003 0.307 0.663
Na4 0.133 0.805 0.164
Na5 0.134 0.475 0.834
Na6 0.135 0.504 0.500
Na7 0.138 0.836 0.836
Na8 0.180 0.490 0.164
Na9 0.312 0.989 0.422
Na10 0.320 0.658 0.578
Na11 0.323 0.989 0.917
Na12 0.325 0.314 0.251
Na13 0.325 0.655 0.077
Na14 0.327 0.316 0.748
Na15 0.452 0.489 0.663
Na16 0.500 0.471 0.336
Na17 0.501 0.838 0.337
Na18 0.503 0.805 0.663
Na19 0.635 0.005 0.499
Na20 0.637 0.968 0.835
Na21 0.686 0.987 0.165
Na22 0.807 0.494 0.919
Na23 0.812 0.489 0.422
Na24 0.813 0.159 0.085
Na25 0.818 0.812 0.749
Na26 0.818 0.813 0.250
Na27 0.820 0.159 0.577
Na28 0.952 0.988 0.662
Na29 0.957 0.326 0.002
Na30 0.999 0.971 0.337
Ta1 0.314 0.656 0.728
Ta2 0.316 0.989 0.769
Ta3 0.320 0.323 0.104
Ta4 0.321 0.324 0.896
Ta5 0.322 0.655 0.229
Ta6 0.322 0.984 0.059
Ta7 0.322 0.989 0.272
Ta8 0.808 0.490 0.770
Ta9 0.811 0.155 0.939
Ta10 0.815 0.155 0.726
Ta11 0.819 0.160 0.230
Ta12 0.820 0.492 0.272
Si1 0.024 0.657 0.836
Si2 0.027 0.988 0.165
Si3 0.028 0.320 0.499
Si4 0.099 0.489 0.662
Si5 0.102 0.814 0.998
Si6 0.114 0.158 0.337
Si7 0.165 0.842 0.662
Si8 0.167 0.794 0.338
Si9 0.171 0.476 0.000
Si10 0.176 0.514 0.338
Si11 0.177 0.176 0.999
Si12 0.185 0.134 0.660
Si13 0.460 0.135 0.166
Si14 0.462 0.516 0.837
Si15 0.466 0.466 0.500
Si16 0.468 0.794 0.838
Si17 0.472 0.840 0.165
Si18 0.525 0.157 0.832
Si19 0.528 0.820 0.499
Si20 0.539 0.490 0.163
Si21 0.601 0.988 0.661
Si22 0.611 0.329 0.002
Si23 0.613 0.659 0.337
Si24 0.665 0.342 0.662
Si25 0.667 0.295 0.339
Si26 0.677 0.014 0.338
Si27 0.677 0.958 0.999
Si28 0.684 0.634 0.661
Si29 0.953 0.634 0.162
Si30 0.959 0.344 0.165
Si31 0.962 0.300 0.833
Si32 0.964 0.009 0.834
Si33 0.966 0.966 0.500
Ge1 0.304 0.654 0.935
Ge2 0.308 0.978 0.563
Ge3 0.309 0.326 0.603
Ge4 0.317 0.328 0.397
Ge5 0.337 0.655 0.436
Ge6 0.809 0.478 0.564
Ge7 0.809 0.825 0.602
Ge8 0.817 0.828 0.396
Ge9 0.819 0.823 0.895
Ge10 0.822 0.485 0.065
Ge11 0.826 0.821 0.103
Ge12 0.838 0.155 0.436
S1 0.460 0.179 0.500
S2 0.676 0.679 0.000
S3 0.960 0.680 0.499
O1 0.003 0.803 0.060
O2 0.004 0.176 0.278
O3 0.005 0.130 0.392
O4 0.127 0.670 0.496
O5 0.132 0.003 0.105
O6 0.132 0.304 0.560
O7 0.132 0.632 0.892
O8 0.134 0.676 0.777
O9 0.134 0.969 0.224
O10 0.136 0.341 0.440
O11 0.139 0.642 0.172
O12 0.143 0.339 0.161
O13 0.144 0.313 0.838
O14 0.146 0.996 0.829
O15 0.150 0.976 0.506
O16 0.191 0.903 0.724
O17 0.194 0.408 0.942
O18 0.198 0.739 0.274
O19 0.199 0.240 0.057
O20 0.202 0.063 0.606
O21 0.204 0.905 0.005
O22 0.205 0.575 0.397
O23 0.210 0.402 0.659
O24 0.211 0.068 0.327
O25 0.213 0.246 0.344
O26 0.215 0.572 0.670
O27 0.216 0.732 0.992
O28 0.245 0.078 0.003
O29 0.245 0.426 0.059
O30 0.247 0.892 0.328
O31 0.250 0.223 0.941
O32 0.251 0.232 0.656
O33 0.251 0.749 0.671
O34 0.252 0.416 0.341
O35 0.254 0.088 0.722
O36 0.254 0.554 0.277
O37 0.259 0.568 0.993
O38 0.262 0.884 0.608
O39 0.263 0.750 0.392
O40 0.373 0.752 0.893
O41 0.377 0.562 0.494
O42 0.380 0.420 0.841
O43 0.380 0.423 0.559
O44 0.383 0.555 0.775
O45 0.383 0.887 0.109
O46 0.384 0.230 0.161
O47 0.384 0.748 0.171
O48 0.387 0.085 0.225
O49 0.391 0.892 0.827
O50 0.392 0.091 0.503
O51 0.392 0.219 0.445
O52 0.420 0.733 0.493
O53 0.422 0.243 0.837
O54 0.423 0.406 0.160
O55 0.423 0.573 0.171
O56 0.428 0.912 0.505
O57 0.429 0.066 0.827
O58 0.430 0.578 0.895
O59 0.433 0.069 0.108
O60 0.434 0.234 0.555
O61 0.438 0.406 0.439
O62 0.438 0.739 0.774
O63 0.445 0.902 0.225
O64 0.483 0.336 0.655
O65 0.484 0.310 0.343
O66 0.494 0.005 0.602
O67 0.495 0.972 0.004
O68 0.495 0.998 0.330
O69 0.498 0.643 0.671
O70 0.501 0.970 0.722
O71 0.502 0.308 0.059
O72 0.503 0.676 0.277
O73 0.504 0.340 0.942
O74 0.504 0.631 0.392
O75 0.510 0.672 0.995
O76 0.627 0.169 0.496
O77 0.631 0.804 0.560
O78 0.634 0.137 0.890
O79 0.634 0.474 0.226
O80 0.636 0.168 0.774
O81 0.636 0.841 0.440
O82 0.642 0.503 0.829
O83 0.643 0.138 0.173
O84 0.645 0.506 0.106
O85 0.651 0.476 0.506
O86 0.651 0.809 0.842
O87 0.654 0.835 0.156
O88 0.692 0.406 0.722
O89 0.698 0.238 0.277
O90 0.701 0.564 0.606
O91 0.701 0.734 0.055
O92 0.704 0.075 0.397
O93 0.705 0.903 0.938
O94 0.710 0.901 0.659
O95 0.711 0.570 0.329
O96 0.713 0.747 0.344
O97 0.716 0.071 0.669
O98 0.718 0.241 0.995
O99 0.721 0.414 0.006
O100 0.746 0.393 0.328
O101 0.746 0.718 0.945
O102 0.748 0.592 0.005
O103 0.750 0.249 0.671
O104 0.752 0.733 0.656
O105 0.752 0.916 0.340
O106 0.754 0.589 0.722
O107 0.755 0.054 0.276
O108 0.755 0.056 0.995
O109 0.759 0.918 0.060
O110 0.762 0.382 0.606
O111 0.763 0.251 0.393
O112 0.877 0.062 0.494
O113 0.880 0.922 0.559
O114 0.883 0.588 0.223
O115 0.884 0.913 0.838
O116 0.885 0.053 0.774
O117 0.885 0.248 0.171
O118 0.885 0.732 0.157
O119 0.886 0.385 0.104
O120 0.888 0.253 0.893
O121 0.889 0.397 0.827
O122 0.892 0.591 0.503
O123 0.892 0.720 0.445
O124 0.917 0.072 0.172
O125 0.921 0.233 0.493
O126 0.923 0.745 0.843
O127 0.924 0.899 0.160
O128 0.925 0.569 0.826
O129 0.929 0.412 0.505
O130 0.933 0.239 0.773
O131 0.934 0.069 0.894
O132 0.934 0.734 0.555
O133 0.935 0.405 0.225
O134 0.938 0.566 0.106
O135 0.938 0.906 0.439
O136 0.983 0.837 0.655
O137 0.985 0.478 0.006
O138 0.985 0.810 0.343
O139 0.992 0.167 0.995
O140 0.994 0.499 0.330
O141 0.995 0.505 0.602
O142 0.995 0.839 0.940
O143 0.999 0.142 0.671
O144 0.999 0.470 0.723